DFT (PBE with a Hubbard U) results for crystalline Li4Mn3Fe2Cu3O16 at its relaxed geometry.

Results
The value obtained for the calculated formation energy is -4376.0 kJ/mol of formula units. The value obtained for the density is 4.5 Mg/m³. The total magnetization is 17.28 μB/f.u. Its uncorrected energy is -6.013 eV per atom.

Cell: 5.8345 5.8345 9.4781 Å, 91.06 91.06 59.48°
Last column: nearest neighbours and their distance in Å.
Sites, in units of the cell vectors:
Li 0.0000 0.0000 0.0000  4 O 1.79-1.95
Li 0.0112 0.0112 0.5050  4 O 1.78-1.91
Li 0.3411 0.3411 0.4021  4 O 1.94-2.03
Li 0.6697 0.6697 0.9027  4 O 1.93-2.02
Mn 0.1801 0.1801 0.7225  6 O 1.90-1.95
Mn 0.3436 0.8355 0.2220  6 O 1.91-1.97
Mn 0.8355 0.3436 0.2220  6 O 1.91-1.97
Fe 0.3386 0.3386 0.9988  6 O 1.98-2.11
Fe 0.6796 0.6796 0.4992  6 O 1.98-2.16
Cu 0.1794 0.6681 0.7200  6 O 1.92-2.10
Cu 0.6681 0.1794 0.7200  6 O 1.92-2.10
Cu 0.8361 0.8361 0.2204  6 O 1.96-2.03
O 0.0098 0.0098 0.3167  1 Li 1.78, 2 Mn 1.91, 1 Cu 1.96
O 0.0125 0.0125 0.8122  1 Li 1.79, 1 Mn 1.91, 2 Cu 1.93
O 0.0395 0.4795 0.8482  1 Mn 1.91, 1 Li 1.93, 1 Fe 2.06, 1 Cu 2.09
O 0.1644 0.1644 0.1106  1 Li 1.95, 2 Mn 1.97, 1 Fe 2.08
O 0.1751 0.6794 0.1059  1 Li 1.91, 1 Mn 1.96, 1 Fe 1.98, 1 Cu 2.03
O 0.3372 0.3372 0.6165  1 Mn 1.90, 2 Cu 1.92, 1 Li 2.03
O 0.3408 0.8576 0.6056  1 Li 1.90, 1 Mn 1.95, 1 Fe 1.99, 1 Cu 2.10
O 0.4795 0.0395 0.8482  1 Mn 1.91, 1 Li 1.93, 1 Fe 2.06, 1 Cu 2.09
O 0.4858 0.4858 0.8446  1 Li 1.93, 2 Cu 1.94, 1 Fe 2.11
O 0.5156 0.9691 0.3450  1 Mn 1.92, 1 Li 1.94, 1 Cu 2.02, 1 Fe 2.07
O 0.5236 0.5236 0.3401  2 Mn 1.94, 1 Li 1.95, 1 Fe 2.16
O 0.6647 0.6647 0.1157  2 Mn 1.91, 1 Cu 1.98, 1 Li 2.02
O 0.6794 0.1751 0.1059  1 Li 1.91, 1 Mn 1.96, 1 Fe 1.98, 1 Cu 2.03
O 0.8500 0.8500 0.6054  1 Li 1.91, 2 Cu 1.97, 1 Fe 1.98
O 0.8576 0.3408 0.6056  1 Li 1.90, 1 Mn 1.95, 1 Fe 1.99, 1 Cu 2.10
O 0.9691 0.5156 0.3450  1 Mn 1.92, 1 Li 1.94, 1 Cu 2.02, 1 Fe 2.07

DFT (PBE with a Hubbard U) results for crystalline Zn2Cr3FeO8 at its relaxed geometry.

Results
The value obtained for the calculated formation energy is -2897.6 kJ/mol of formula units. The value obtained for the density is 5.1 Mg/m³. The total magnetization is 4.00 μB/f.u. Its uncorrected energy is -6.844 eV per atom.

Cell: 6.0130 6.0130 6.0130 Å, 60.13 60.13 60.13°
Last column: nearest neighbours and their distance in Å.
Sites, in units of the cell vectors:
Zn 0.1244 0.1244 0.1244  4 O 2.01-2.02
Zn 0.8756 0.8756 0.8756  4 O 2.01-2.02
Cr 0.0000 0.5000 0.5000  6 O 2.03
Cr 0.5000 0.0000 0.5000  6 O 2.03
Cr 0.5000 0.5000 0.0000  6 O 2.03
Fe 0.5000 0.5000 0.5000  6 O 2.05
O 0.2602 0.2602 0.7166  1 Zn 2.01, 2 Cr 2.03, 1 Fe 2.05
O 0.2602 0.7166 0.2602  1 Zn 2.01, 2 Cr 2.03, 1 Fe 2.05
O 0.2619 0.2619 0.2619  1 Zn 2.02, 3 Cr 2.03
O 0.2834 0.7398 0.7398  1 Zn 2.01, 2 Cr 2.03, 1 Fe 2.05
O 0.7166 0.2602 0.2602  1 Zn 2.01, 2 Cr 2.03, 1 Fe 2.05
O 0.7381 0.7381 0.7381  1 Zn 2.02, 3 Cr 2.03
O 0.7398 0.2834 0.7398  1 Zn 2.01, 2 Cr 2.03, 1 Fe 2.05
O 0.7398 0.7398 0.2834  1 Zn 2.01, 2 Cr 2.03, 1 Fe 2.05

DFT (PBE with a Hubbard U) results for crystalline Li6VSi2O8 at its relaxed geometry.

Results
The value obtained for the calculated formation energy is -4286.2 kJ/mol of formula units. The value obtained for the density is 2.6 Mg/m³. The total magnetization is 3.00 μB/f.u. Its uncorrected energy is -6.365 eV per atom.

Cell: 5.1288 11.0541 7.9450 Å, 90.00 128.53 90.00°
Last column: nearest neighbours and their distance in Å.
Sites, in units of the cell vectors:
Li 0.0000 0.0562 0.0000  3 O 1.95-2.03
Li 0.0000 0.9438 0.5000  3 O 1.95-2.03
Li 0.5470 0.0929 0.2154  4 O 1.90-2.04
Li 0.5470 0.9071 0.7154  4 O 1.90-2.04
Li 0.5662 0.1764 0.9353  4 O 1.93-2.12
Li 0.5662 0.8236 0.4353  4 O 1.93-2.12
Li 0.7244 0.3134 0.4459  4 O 1.89-2.06
Li 0.7244 0.6866 0.9459  4 O 1.89-2.06
Li 0.8682 0.4034 0.2016  4 O 1.96-2.15
Li 0.8682 0.5966 0.7016  4 O 1.96-2.15
Li 0.9836 0.0974 0.6875  4 O 1.88-2.04
Li 0.9836 0.9026 0.1875  4 O 1.88-2.04
V 0.3682 0.4226 0.6927  4 O 2.05-2.19
V 0.3682 0.5774 0.1927  4 O 2.05-2.19
Si 0.0961 0.3264 0.9461  4 O 1.65-1.67
Si 0.0961 0.6736 0.4461  4 O 1.65-1.67
Si 0.2514 0.1532 0.4446  4 O 1.64-1.68
Si 0.2514 0.8468 0.9446  4 O 1.64-1.68
O 0.1291 0.2911 0.4511  1 Si 1.66
O 0.1291 0.7089 0.9511  1 Si 1.66
O 0.2020 0.1855 0.9480  1 Si 1.65
O 0.2020 0.8145 0.4480  1 Si 1.65
O 0.3450 0.0753 0.6563  1 Si 1.67
O 0.3450 0.9247 0.1563  1 Si 1.67
O 0.4186 0.3961 0.1629  1 Si 1.66
O 0.4186 0.6039 0.6629  1 Si 1.66
O 0.5717 0.1575 0.4462  1 Si 1.64
O 0.5717 0.8425 0.9462  1 Si 1.64
O 0.7751 0.3250 0.9480  1 Si 1.66
O 0.7751 0.6750 0.4480  1 Si 1.66
O 0.9318 0.0818 0.2232  1 Si 1.68
O 0.9318 0.9182 0.7232  1 Si 1.68
O 0.9833 0.4069 0.7316  1 Si 1.67
O 0.9833 0.5931 0.2316  1 Si 1.67

DFT (PBE with a Hubbard U) results for crystalline Li3V3P8O29 at its relaxed geometry.

Results
The value obtained for the calculated formation energy is -10460.4 kJ/mol of formula units. For the energy relative to the lowest polymorph listed for this composition, the calculation gives 0.012 eV/atom. The value obtained for the density is 2.5 Mg/m³. The total magnetization is 0.00 μB/f.u. Its uncorrected energy is -7.050 eV per atom.

Cell: 9.7381 9.7409 14.2086 Å, 89.47 89.55 60.39°
Last column: nearest neighbours and their distance in Å.
Sites, in units of the cell vectors:
Li 0.0000 0.0000 0.0000  3 O 1.95-2.16
Li 0.0410 0.6827 0.5599  2 O 1.94-1.96
Li 0.2755 0.3526 0.8990  1 O 1.86
Li 0.6301 0.0987 0.0635  3 O 1.92-2.08
Li 0.8502 0.3443 0.4438  3 O 1.96-2.14
Li 0.9415 0.0161 0.5026  4 O 2.16-2.32
V 0.3764 0.0165 0.7467  6 O 1.86-2.00
V 0.3815 0.5815 0.2515  6 O 1.85-1.93
V 0.5060 0.0124 0.2614  6 O 1.83-1.99
V 0.5109 0.4499 0.7519  6 O 1.84-2.03
V 0.9400 0.5850 0.7588  6 O 1.81-1.97
V 0.9479 0.4508 0.2439  6 O 1.84-1.96
P 0.0328 0.7007 0.3442  4 O 1.49-1.61
P 0.0347 0.2316 0.8433  4 O 1.47-1.63
P 0.1588 0.1026 0.3462  4 O 1.48-1.61
P 0.1665 0.7079 0.8497  4 O 1.47-1.61
P 0.2480 0.7922 0.6631  4 O 1.49-1.61
P 0.2511 0.9332 0.1621  4 O 1.47-1.61
P 0.2737 0.3551 0.6345  4 O 1.48-1.58
P 0.2860 0.3458 0.1346  4 O 1.49-1.59
P 0.6039 0.6870 0.8721  4 O 1.47-1.60
P 0.6160 0.6734 0.3707  4 O 1.48-1.60
P 0.6276 0.1062 0.8462  4 O 1.48-1.61
P 0.6368 0.2402 0.3452  4 O 1.49-1.61
P 0.7202 0.3229 0.1599  4 O 1.48-1.61
P 0.7264 0.9341 0.6633  4 O 1.48-1.62
P 0.8565 0.8002 0.1634  4 O 1.47-1.62
P 0.8596 0.3287 0.6615  4 O 1.48-1.60
O 0.0271 0.2790 0.3365  1 P 1.56
O 0.0289 0.6680 0.8370  1 P 1.58
O 0.0303 0.5452 0.3260  1 P 1.55
O 0.0417 0.3895 0.8342  1 P 1.58
O 0.1251 0.5032 0.6773  1 P 1.58
O 0.1332 0.3479 0.1759  1 P 1.59
O 0.1365 0.0287 0.4318  1 P 1.48
O 0.1426 0.0196 0.2528  2 P 1.61
O 0.1452 0.8028 0.9338  1 P 1.47
O 0.1476 0.8060 0.5813  1 P 1.49
O 0.1487 0.8135 0.7579  2 P 1.61
O 0.1625 0.0073 0.0756  1 P 1.47
O 0.2050 0.6669 0.3308  1 P 1.55
O 0.2102 0.0972 0.8338  1 P 1.56
O 0.2740 0.3618 0.5305  1 P 1.48
O 0.2758 0.2046 0.6780  1 P 1.58
O 0.2841 0.4921 0.1791  1 P 1.56
O 0.2860 0.3479 0.0296  1 P 1.49
O 0.2892 0.9280 0.6676  1 P 1.56
O 0.2948 0.7567 0.1731  1 P 1.56
O 0.3192 0.5448 0.8385  1 P 1.56
O 0.3232 0.0961 0.3345  1 P 1.58
O 0.4032 0.6333 0.6749  1 P 1.55
O 0.4063 0.9391 0.1786  1 P 1.56
O 0.4189 0.3552 0.6834  1 P 1.58
O 0.4330 0.1967 0.1745  1 P 1.56
O 0.4636 0.1195 0.8298  1 P 1.56
O 0.4690 0.6778 0.3238  1 P 1.57
O 0.4691 0.8370 0.8226  1 P 1.57
O 0.4832 0.4001 0.3338  1 P 1.54
O 0.5624 0.4792 0.1727  1 P 1.55
O 0.5633 0.9421 0.6736  1 P 1.56
O 0.5930 0.1066 0.3369  1 P 1.56
O 0.5957 0.5461 0.8254  1 P 1.57
O 0.5979 0.2789 0.8344  1 P 1.57
O 0.6064 0.6875 0.9756  1 P 1.47
O 0.6126 0.8267 0.3268  1 P 1.60
O 0.6180 0.6697 0.4748  1 P 1.48
O 0.6805 0.9333 0.1699  1 P 1.56
O 0.6857 0.3635 0.6741  1 P 1.56
O 0.7030 0.0355 0.9373  1 P 1.48
O 0.7319 0.2266 0.0769  1 P 1.48
O 0.7379 0.2222 0.4278  1 P 1.49
O 0.7426 0.2179 0.2527  2 P 1.61
O 0.7437 0.0095 0.7609  2 P 1.61-1.62
O 0.7533 0.0098 0.5802  1 P 1.48
O 0.7600 0.6754 0.8273  1 P 1.60
O 0.7644 0.5266 0.3279  1 P 1.57
O 0.8563 0.3635 0.1676  1 P 1.56
O 0.8614 0.4837 0.6803  1 P 1.54
O 0.8611 0.6367 0.1750  1 P 1.58
O 0.8605 0.7562 0.6700  1 P 1.57
O 0.9246 0.2542 0.5691  1 P 1.48
O 0.9332 0.8188 0.2602  2 P 1.61-1.62
O 0.9369 0.8159 0.0792  1 P 1.47
O 0.9545 0.2131 0.9266  1 P 1.47
O 0.9557 0.2137 0.7469  2 P 1.60-1.63
O 0.9662 0.7759 0.4366  1 P 1.49

DFT (PBE with a Hubbard U) results for crystalline ZnCrO4 at its relaxed geometry.

Results
The value obtained for the calculated formation energy is -979.6 kJ/mol of formula units. For the energy relative to the lowest polymorph listed for this composition, the calculation gives 0.000 eV/atom. The value obtained for the density is 4.0 Mg/m³. Its uncorrected energy is -6.018 eV per atom.

Cell: 5.0676 5.0676 6.3901 Å, 90.00 90.00 113.04°
Last column: nearest neighbours and their distance in Å.
Sites, in units of the cell vectors:
Zn 0.0000 0.0000 0.0000  6 O 2.09-2.13
Zn 0.0000 0.0000 0.5000  6 O 2.09-2.13
Cr 0.3581 0.6419 0.7500  4 O 1.64-1.71
Cr 0.6419 0.3581 0.2500  4 O 1.64-1.71
O 0.2199 0.2750 0.7500  1 Cr 1.71
O 0.2456 0.7544 0.5417  1 Cr 1.64
O 0.2456 0.7544 0.9583  1 Cr 1.64
O 0.2750 0.2199 0.2500  1 Cr 1.71
O 0.7250 0.7801 0.7500  1 Cr 1.71
O 0.7544 0.2456 0.0417  1 Cr 1.64
O 0.7544 0.2456 0.4583  1 Cr 1.64
O 0.7801 0.7250 0.2500  1 Cr 1.71

DFT (PBE with a Hubbard U) results for crystalline Nd9Mn10O30 at its relaxed geometry.

Results
The value obtained for the calculated formation energy is -13441.3 kJ/mol of formula units. The value obtained for the density is 6.5 Mg/m³. The total magnetization is 37.00 μB/f.u. Its uncorrected energy is -7.857 eV per atom.

Cell: 7.8111 9.5559 17.5268 Å, 89.99 89.53 66.10°
Last column: nearest neighbours and their distance in Å.
Sites, in units of the cell vectors:
Nd 0.0000 0.0000 0.0000  6 O 2.37-2.60
Nd 0.0346 0.9824 0.5169  6 O 2.41-2.59
Nd 0.1586 0.7882 0.7155  6 O 2.40-2.51
Nd 0.1969 0.6129 0.3922  6 O 2.41-2.49
Nd 0.2366 0.5851 0.9156  6 O 2.38-2.62
Nd 0.2973 0.4032 0.6034  6 O 2.39-2.61
Nd 0.3478 0.3929 0.1170  6 O 2.39-2.59
Nd 0.4042 0.1980 0.7959  6 O 2.39-2.57
Nd 0.4408 0.1903 0.3168  7 O 2.39-2.66
Nd 0.4961 0.9952 0.0057  7 O 2.40-2.62
Nd 0.5520 0.9859 0.5166  6 O 2.37-2.62
Nd 0.5998 0.8058 0.1969  6 O 2.40-2.66
Nd 0.6947 0.6010 0.4028  6 O 2.37-2.58
Nd 0.7485 0.5936 0.9117  6 O 2.38-2.61
Nd 0.7997 0.4103 0.6014  6 O 2.38-2.61
Nd 0.8414 0.3873 0.1177  7 O 2.39-2.62
Nd 0.9032 0.1980 0.8016  7 O 2.39-2.68
Nd 0.9531 0.1831 0.3118  6 O 2.40-2.57
Mn 0.0166 0.5006 0.7574  6 O 1.97-2.06
Mn 0.0194 0.4987 0.2564  6 O 1.96-2.08
Mn 0.1211 0.2963 0.4586  6 O 1.97-2.01
Mn 0.1222 0.2933 0.9584  6 O 1.97-2.02
Mn 0.2180 0.0911 0.1581  6 O 1.94-2.05
Mn 0.2233 0.0928 0.6575  6 O 1.99-2.06
Mn 0.3200 0.8952 0.3577  6 O 1.97-2.06
Mn 0.3284 0.8935 0.8575  6 O 1.94-2.06
Mn 0.4164 0.6946 0.0585  6 O 1.96-2.08
Mn 0.4223 0.6965 0.5602  6 O 1.97-2.07
Mn 0.5198 0.4975 0.2581  6 O 1.97-2.03
Mn 0.5271 0.4950 0.7588  6 O 1.96-2.07
Mn 0.6202 0.2939 0.9580  6 O 1.97-2.01
Mn 0.6212 0.2969 0.4588  6 O 1.99-2.01
Mn 0.7240 0.0893 0.6593  6 O 1.93-2.05
Mn 0.7253 0.0909 0.1587  6 O 1.96-2.07
Mn 0.8197 0.8938 0.8567  6 O 1.96-2.07
Mn 0.8205 0.8961 0.3546  6 O 1.95-2.07
Mn 0.9211 0.6956 0.5598  6 O 1.95-2.07
Mn 0.9230 0.6954 0.0606  6 O 1.96-2.07
O 0.0464 0.9416 0.8578  2 Mn 2.00-2.06
O 0.0725 0.5073 0.4927  2 Mn 1.99-2.07
O 0.0768 0.8812 0.3458  2 Mn 1.95-1.97
O 0.0902 0.4239 0.8673  2 Mn 1.98-2.06
O 0.1013 0.2774 0.7241  2 Mn 2.00-2.04
O 0.1174 0.2361 0.5658  2 Mn 1.97-2.06
O 0.1170 0.3567 0.3508  2 Mn 1.97-2.08
O 0.1393 0.3161 0.1892  2 Mn 1.99-2.05
O 0.1512 0.1606 0.0490  2 Mn 1.99-2.03
O 0.1614 0.7195 0.5800  2 Mn 1.99-2.02
O 0.1732 0.0877 0.4222  2 Mn 1.97-2.06
O 0.1993 0.6393 0.0557  2 Mn 1.97-2.00
O 0.2580 0.5206 0.2579  2 Mn 1.96-1.97
O 0.2670 0.1093 0.8972  2 Mn 1.97-2.04
O 0.2860 0.4672 0.7383  2 Mn 2.02-2.04
O 0.2867 0.0328 0.2690  2 Mn 1.99-2.04
O 0.2941 0.9744 0.7545  2 Mn 1.94-2.00
O 0.3178 0.8270 0.9666  2 Mn 2.00-2.03
O 0.3184 0.8818 0.1204  2 Mn 1.94-1.96
O 0.3318 0.9194 0.5842  2 Mn 1.99-2.00
O 0.3594 0.3183 0.9834  2 Mn 2.00-2.01
O 0.3588 0.7594 0.4473  2 Mn 1.98-2.07
O 0.3858 0.6782 0.8215  2 Mn 1.98-2.02
O 0.3978 0.2432 0.4636  2 Mn 2.01
O 0.4468 0.1444 0.6521  2 Mn 2.00-2.02
O 0.4742 0.0852 0.1372  2 Mn 2.01-2.02
O 0.4759 0.6152 0.6649  2 Mn 1.96-1.97
O 0.4755 0.7036 0.2977  2 Mn 1.98-2.03
O 0.5023 0.4771 0.5278  2 Mn 1.99-2.01
O 0.5207 0.4314 0.3685  2 Mn 1.99-2.03
O 0.5222 0.5589 0.1478  2 Mn 1.99-2.02
O 0.5457 0.5122 0.9840  2 Mn 1.98-2.08
O 0.5506 0.3532 0.8511  2 Mn 1.97-2.07
O 0.5598 0.9172 0.3828  2 Mn 2.02
O 0.5843 0.2834 0.2203  2 Mn 2.01-2.02
O 0.5947 0.8547 0.8751  2 Mn 1.96-1.99
O 0.6481 0.7354 0.0504  2 Mn 2.00-2.03
O 0.6670 0.3061 0.6966  2 Mn 2.01-2.04
O 0.6829 0.6722 0.5360  2 Mn 2.00-2.01
O 0.6838 0.2363 0.0663  2 Mn 1.99-2.07
O 0.6993 0.0762 0.9316  2 Mn 1.97-2.07
O 0.7217 0.1646 0.5497  2 Mn 1.99-2.05
O 0.7216 0.9766 0.2529  2 Mn 1.98-1.99
O 0.7298 0.0389 0.7697  2 Mn 1.99
O 0.7414 0.1172 0.3886  2 Mn 2.00-2.03
O 0.7739 0.4910 0.7854  2 Mn 1.97-1.99
O 0.7903 0.8907 0.6125  2 Mn 1.93-1.95
O 0.7956 0.4439 0.2647  2 Mn 2.01-2.02
O 0.8308 0.9162 0.0888  2 Mn 1.96-1.99
O 0.8459 0.3475 0.4556  2 Mn 2.00
O 0.8840 0.2666 0.9353  2 Mn 2.01-2.02
O 0.8862 0.8239 0.4659  2 Mn 2.01-2.07
O 0.8967 0.6740 0.3264  2 Mn 1.98-2.02
O 0.9026 0.6163 0.1620  2 Mn 1.96-2.01
O 0.9239 0.7600 0.9518  2 Mn 2.01-2.06
O 0.9544 0.1281 0.1772  2 Mn 1.97-1.99
O 0.9719 0.7052 0.7982  2 Mn 1.97-1.99
O 0.9744 0.5523 0.6451  2 Mn 1.96-2.03
O 0.9770 0.4799 0.0178  2 Mn 1.97-2.07
O 0.9981 0.0452 0.6613  2 Mn 1.99-2.01